(1)
Computed, not measured: a geometry-optimized K2CoCl4 structure at the PBE level of DFT.

Cell lengths 14.555, 14.555, 27.216 Å; angles 90.07, 90.07, 119.00 degrees
Element x y z (fractional)
K: 0.009 0.070 0.665
K: 0.011 0.576 0.167
K: 0.012 0.575 0.834
K: 0.029 0.971 0.500
K: 0.035 0.474 0.000
K: 0.061 0.493 0.663
K: 0.068 0.998 0.831
K: 0.070 0.009 0.165
K: 0.076 0.514 0.329
K: 0.185 0.866 0.955
K: 0.186 0.341 0.880
K: 0.193 0.356 0.542
K: 0.195 0.855 0.619
K: 0.210 0.371 0.208
K: 0.217 0.887 0.289
K: 0.331 0.667 0.455
K: 0.341 0.186 0.380
K: 0.354 0.672 0.118
K: 0.356 0.193 0.042
K: 0.371 0.210 0.708
K: 0.372 0.706 0.788
K: 0.474 0.035 0.500
K: 0.475 0.541 0.999
K: 0.493 0.061 0.163
K: 0.507 0.568 0.332
K: 0.514 0.076 0.829
K: 0.515 0.578 0.668
K: 0.532 0.971 0.998
K: 0.541 0.475 0.499
K: 0.568 0.507 0.832
K: 0.575 0.012 0.334
K: 0.576 0.011 0.667
K: 0.578 0.515 0.168
K: 0.662 0.834 0.543
K: 0.667 0.331 0.955
K: 0.672 0.354 0.618
K: 0.685 0.859 0.879
K: 0.703 0.879 0.209
K: 0.706 0.372 0.288
K: 0.834 0.662 0.043
K: 0.855 0.195 0.119
K: 0.859 0.685 0.379
K: 0.866 0.185 0.455
K: 0.879 0.703 0.709
K: 0.887 0.217 0.789
K: 0.971 0.029 0.000
K: 0.971 0.532 0.498
K: 0.998 0.068 0.331
Co: 0.177 0.845 0.093
Co: 0.182 0.350 0.403
Co: 0.192 0.867 0.427
Co: 0.194 0.357 0.069
Co: 0.202 0.367 0.739
Co: 0.205 0.867 0.756
Co: 0.347 0.682 0.595
Co: 0.350 0.182 0.903
Co: 0.356 0.693 0.926
Co: 0.357 0.194 0.569
Co: 0.367 0.202 0.239
Co: 0.371 0.700 0.259
Co: 0.675 0.841 0.404
Co: 0.682 0.347 0.095
Co: 0.690 0.865 0.072
Co: 0.693 0.356 0.426
Co: 0.700 0.371 0.759
Co: 0.703 0.870 0.740
Co: 0.841 0.675 0.904
Co: 0.845 0.177 0.593
Co: 0.865 0.690 0.572
Co: 0.867 0.192 0.927
Co: 0.867 0.205 0.256
Co: 0.870 0.703 0.240
Cl: 0.059 0.882 0.056
Cl: 0.082 0.912 0.387
Cl: 0.088 0.403 0.112
Cl: 0.096 0.423 0.442
Cl: 0.102 0.709 0.720
Cl: 0.103 0.208 0.776
Cl: 0.121 0.187 0.434
Cl: 0.135 0.695 0.414
Cl: 0.141 0.185 0.077
Cl: 0.147 0.684 0.070
Cl: 0.148 0.336 0.322
Cl: 0.154 0.475 0.778
Cl: 0.157 0.338 0.660
Cl: 0.160 0.846 0.175
Cl: 0.162 0.979 0.718
Cl: 0.163 0.841 0.836
Cl: 0.185 0.141 0.577
Cl: 0.185 0.631 0.564
Cl: 0.185 0.648 0.921
Cl: 0.187 0.121 0.934
Cl: 0.208 0.103 0.276
Cl: 0.215 0.596 0.221
Cl: 0.218 0.916 0.506
Cl: 0.219 0.415 0.992
Cl: 0.333 0.640 0.674
Cl: 0.336 0.148 0.822
Cl: 0.337 0.960 0.063
Cl: 0.338 0.157 0.160
Cl: 0.342 0.652 0.338
Cl: 0.351 0.444 0.426
Cl: 0.351 0.964 0.390
Cl: 0.355 0.447 0.107
Cl: 0.372 0.418 0.753
Cl: 0.375 0.914 0.743
Cl: 0.392 0.579 0.885
Cl: 0.403 0.088 0.612
Cl: 0.412 0.720 0.005
Cl: 0.415 0.219 0.492
Cl: 0.416 0.594 0.552
Cl: 0.417 0.870 0.247
Cl: 0.418 0.372 0.253
Cl: 0.423 0.096 0.942
Cl: 0.444 0.351 0.926
Cl: 0.446 0.854 0.577
Cl: 0.447 0.355 0.607
Cl: 0.454 0.849 0.888
Cl: 0.475 0.154 0.278
Cl: 0.483 0.660 0.218
Cl: 0.565 0.883 0.445
Cl: 0.572 0.900 0.111
Cl: 0.579 0.392 0.385
Cl: 0.594 0.416 0.052
Cl: 0.596 0.215 0.721
Cl: 0.597 0.715 0.778
Cl: 0.631 0.185 0.064
Cl: 0.639 0.694 0.082
Cl: 0.640 0.333 0.174
Cl: 0.643 0.835 0.323
Cl: 0.646 0.681 0.430
Cl: 0.648 0.185 0.421
Cl: 0.652 0.342 0.838
Cl: 0.655 0.841 0.661
Cl: 0.660 0.483 0.718
Cl: 0.669 0.989 0.779
Cl: 0.681 0.646 0.930
Cl: 0.684 0.147 0.570
Cl: 0.694 0.639 0.582
Cl: 0.695 0.135 0.914
Cl: 0.709 0.102 0.220
Cl: 0.715 0.597 0.278
Cl: 0.718 0.917 0.993
Cl: 0.720 0.412 0.505
Cl: 0.835 0.643 0.823
Cl: 0.841 0.163 0.336
Cl: 0.841 0.655 0.161
Cl: 0.842 0.954 0.426
Cl: 0.846 0.160 0.675
Cl: 0.846 0.964 0.110
Cl: 0.849 0.454 0.388
Cl: 0.854 0.446 0.077
Cl: 0.870 0.417 0.747
Cl: 0.871 0.910 0.752
Cl: 0.882 0.059 0.556
Cl: 0.883 0.565 0.945
Cl: 0.900 0.572 0.611
Cl: 0.910 0.871 0.252
Cl: 0.912 0.082 0.887
Cl: 0.914 0.375 0.243
Cl: 0.916 0.218 0.006
Cl: 0.917 0.718 0.493
Cl: 0.954 0.842 0.926
Cl: 0.960 0.337 0.563
Cl: 0.964 0.351 0.890
Cl: 0.964 0.846 0.610
Cl: 0.979 0.162 0.218
Cl: 0.989 0.669 0.279

Volume in Å³ per cell: 5042.7
Symmetry: No. 9
VASP energy in eV per formula unit: -26.42
Crystal system: monoclinic

(2)
Computed, not measured: a geometry-optimized Ce5CuSn3 structure at the PBE level of DFT.

Cell lengths 9.477, 9.477, 6.449 Å; angles 90.00, 90.00, 120.00 degrees
Element x y z (fractional)
Ce: 0.000 0.265 0.250
Ce: 0.000 0.735 0.750
Ce: 0.265 0.000 0.250
Ce: 0.265 0.265 0.750
Ce: 0.333 0.667 0.000
Ce: 0.333 0.667 0.500
Ce: 0.667 0.333 0.000
Ce: 0.667 0.333 0.500
Ce: 0.735 0.000 0.750
Ce: 0.735 0.735 0.250
Cu: 0.000 0.000 0.000
Cu: 0.000 0.000 0.500
Sn: 0.000 0.384 0.750
Sn: 0.000 0.616 0.250
Sn: 0.384 0.000 0.750
Sn: 0.384 0.384 0.250
Sn: 0.616 0.000 0.250
Sn: 0.616 0.616 0.750

Volume in Å³ per cell: 501.7
Symmetry: No. 193
VASP energy in eV per formula unit: -50.10
Crystal system: hexagonal

(3)
Computed, not measured: a geometry-optimized Ca7RuN6 structure at the PBE level of DFT.

Cell lengths 11.023, 6.253, 13.297 Å; angles 90.00, 90.00, 90.00 degrees
Element x y z (fractional)
Ca: 0.000 0.064 0.250
Ca: 0.000 0.936 0.750
Ca: 0.037 0.228 0.521
Ca: 0.037 0.772 0.021
Ca: 0.207 0.398 0.113
Ca: 0.207 0.602 0.613
Ca: 0.224 0.365 0.872
Ca: 0.224 0.635 0.372
Ca: 0.276 0.135 0.372
Ca: 0.276 0.865 0.872
Ca: 0.293 0.102 0.613
Ca: 0.293 0.898 0.113
Ca: 0.463 0.272 0.021
Ca: 0.463 0.728 0.521
Ca: 0.500 0.436 0.750
Ca: 0.500 0.564 0.250
Ca: 0.537 0.272 0.479
Ca: 0.537 0.728 0.979
Ca: 0.707 0.102 0.887
Ca: 0.707 0.898 0.387
Ca: 0.724 0.135 0.128
Ca: 0.724 0.865 0.628
Ca: 0.776 0.365 0.628
Ca: 0.776 0.635 0.128
Ca: 0.793 0.398 0.387
Ca: 0.793 0.602 0.887
Ca: 0.963 0.228 0.979
Ca: 0.963 0.772 0.479
Ru: 0.000 0.426 0.750
Ru: 0.000 0.574 0.250
Ru: 0.500 0.074 0.250
Ru: 0.500 0.926 0.750
N: 0.038 0.397 0.364
N: 0.038 0.603 0.864
N: 0.133 0.243 0.704
N: 0.133 0.757 0.204
N: 0.167 0.095 0.990
N: 0.167 0.905 0.490
N: 0.333 0.405 0.490
N: 0.333 0.595 0.990
N: 0.367 0.257 0.204
N: 0.367 0.743 0.704
N: 0.462 0.103 0.864
N: 0.462 0.897 0.364
N: 0.538 0.103 0.636
N: 0.538 0.897 0.136
N: 0.633 0.257 0.296
N: 0.633 0.743 0.796
N: 0.667 0.405 0.010
N: 0.667 0.595 0.510
N: 0.833 0.095 0.510
N: 0.833 0.905 0.010
N: 0.867 0.243 0.796
N: 0.867 0.757 0.296
N: 0.962 0.397 0.136
N: 0.962 0.603 0.636

Volume in Å³ per cell: 916.5
Symmetry: No. 60
VASP energy in eV per formula unit: -82.18
Crystal system: orthorhombic

(4)
Computed, not measured: a geometry-optimized KSrPrSeO6 structure at the PBE level of DFT.

Cell lengths 5.874, 5.874, 5.874 Å; angles 60.00, 60.00, 60.00 degrees
Element x y z (fractional)
K: 0.000 0.000 0.000
Sr: 0.500 0.500 0.500
Pr: 0.750 0.750 0.750
Se: 0.250 0.250 0.250
O: 0.029 0.029 0.471
O: 0.029 0.471 0.029
O: 0.029 0.471 0.471
O: 0.471 0.029 0.029
O: 0.471 0.029 0.471
O: 0.471 0.471 0.029

Volume in Å³ per cell: 143.3
Symmetry: No. 216
VASP energy in eV per formula unit: -60.35
Crystal system: cubic